Record 1
First-principles (PBE with a Hubbard U) data for a relaxed KSrLaWO6 crystal, as listed in the Materials Project.

Summary:
Volume in A^3/atom: 16.06
E above lowest polymorph in kJ per mole of atoms: 2.1
Corrected total energy (MP2020 scheme) in eV/atom: -7.90
Space group: F-43m (216)

Cell and atoms, written as POSCAR:
```
KSrLaWO6
1.0
0.0000 4.3146 4.3146
4.3146 0.0000 4.3146
4.3146 4.3146 0.0000
K Sr La W O
1 1 1 1 6
direct
0.0000 0.0000 0.0000
0.5000 0.5000 0.5000
0.2500 0.2500 0.2500
0.7500 0.7500 0.7500
0.5236 0.5236 0.9764
0.5236 0.9764 0.5236
0.5236 0.9764 0.9764
0.9764 0.5236 0.5236
0.9764 0.5236 0.9764
0.9764 0.9764 0.5236
```

=====

Record 2
First-principles (PBE with a Hubbard U) data for a relaxed KLaVWO6 crystal, as listed in the Materials Project.

Summary:
Volume in A^3/atom: 13.00
Corrected total energy (MP2020 scheme) in eV/atom: -8.42
Space group: F-43m (216)

Cell and atoms, written as POSCAR:
```
KLaVWO6
1.0
0.0000 4.0208 4.0208
4.0208 0.0000 4.0208
4.0208 4.0208 0.0000
K La V W O
1 1 1 1 6
direct
0.0000 0.0000 0.0000
0.5000 0.5000 0.5000
0.2500 0.2500 0.2500
0.7500 0.7500 0.7500
0.5079 0.5079 0.9921
0.5079 0.9921 0.5079
0.5079 0.9921 0.9921
0.9921 0.5079 0.5079
0.9921 0.5079 0.9921
0.9921 0.9921 0.5079
```

=====

Record 3
First-principles (PBE with a Hubbard U) data for a relaxed KLaZnWO6 crystal, as listed in the Materials Project.

Summary:
Volume in A^3/atom: 13.03
Corrected total energy (MP2020 scheme) in eV/atom: -7.50
Space group: F-43m (216)

Cell and atoms, written as POSCAR:
```
KLaZnWO6
1.0
0.0000 4.0234 4.0234
4.0234 0.0000 4.0234
4.0234 4.0234 0.0000
K La Zn W O
1 1 1 1 6
direct
0.0000 0.0000 0.0000
0.5000 0.5000 0.5000
0.2500 0.2500 0.2500
0.7500 0.7500 0.7500
0.5087 0.5087 0.9913
0.5087 0.9913 0.5087
0.5087 0.9913 0.9913
0.9913 0.5087 0.5087
0.9913 0.5087 0.9913
0.9913 0.9913 0.5087
```

=====

Record 4
First-principles (PBE with a Hubbard U) data for a relaxed KLiLu2Mo4O16 crystal, as listed in the Materials Project.

Summary:
Volume in A^3/atom: 13.34
Corrected total energy (MP2020 scheme) in eV/atom: -8.13
Space group: C2/c (15)

Cell and atoms, written as POSCAR:
```
KLiLu2Mo4O16
1.0
2.6048 -6.3107 0.0000
2.6048 6.3107 0.0000
-1.0750 0.0000 19.4738
K Li Lu Mo O
2 2 4 8 32
direct
0.0309 0.9691 0.7500
0.9691 0.0309 0.2500
0.3137 0.6863 0.7500
0.6863 0.3137 0.2500
0.1474 0.8519 0.5325
0.1481 0.8526 0.9675
0.8519 0.1474 0.0325
0.8526 0.1481 0.4675
0.2476 0.7314 0.3532
0.2686 0.7524 0.1468
0.4180 0.5423 0.9091
0.4577 0.5820 0.5909
0.5423 0.4180 0.4091
0.5820 0.4577 0.0909
0.7314 0.2476 0.8532
0.7524 0.2686 0.6468
0.0082 0.7310 0.1728
0.0569 0.5767 0.4347
0.0662 0.4710 0.2860
0.0942 0.3947 0.1300
0.1598 0.5023 0.9590
0.2163 0.3120 0.3994
0.2172 0.2561 0.5362
0.2561 0.2172 0.0362
0.2690 0.9918 0.3272
0.2987 0.4804 0.6705
0.3120 0.2163 0.8994
0.3947 0.0942 0.6300
0.4233 0.9431 0.0653
0.4710 0.0662 0.7860
0.4804 0.2987 0.1705
0.4977 0.8402 0.5410
0.5023 0.1598 0.4590
0.5196 0.7013 0.8295
0.5290 0.9338 0.2140
0.5767 0.0569 0.9347
0.6053 0.9058 0.3700
0.6880 0.7837 0.1006
0.7013 0.5196 0.3295
0.7310 0.0082 0.6728
0.7439 0.7828 0.9638
0.7828 0.7439 0.4638
0.7837 0.6880 0.6006
0.8402 0.4977 0.0410
0.9058 0.6053 0.8700
0.9338 0.5290 0.7140
0.9431 0.4233 0.5653
0.9918 0.2690 0.8272
```